Entry 1:
Computed, not measured: a relaxed structure of BaSrEuWO6 at the PBE+U level of DFT.

```
20
Lattice="-1.710 5.539 -1.695 -5.741 -1.957 -0.671 -1.680 1.918 8.192" Properties=species:S:1:pos:R:3 pbc="T T T"
Ba -2.290 5.942 0.337
Ba -6.841 -0.442 5.489
Sr -4.395 2.235 0.818
Sr -4.736 3.265 5.008
Eu -2.871 -0.979 -0.336
Eu -1.695 3.729 3.248
W -0.855 2.770 -0.848
W -3.711 -0.020 3.761
O -3.127 2.805 7.434
O -5.320 1.131 3.561
O -6.004 2.695 -1.608
O -3.811 4.369 2.265
O -6.378 2.146 6.788
O -2.613 1.617 3.963
O -2.753 3.354 -0.962
O -6.517 3.883 1.863
O -6.647 0.958 0.457
O -3.436 0.040 1.793
O -2.483 4.542 5.369
O -5.695 5.460 4.033
```

* energy of formation from the pure elements: -2434 meV per atom
* energy relative to the lowest polymorph listed for this composition: 5.31 eV per formula unit
* crystal system: triclinic
* E: -7.229 eV/atom
* V: 158.1 Å³/f.u.
* space group: No. 2
* spin magnetization: 0.01 μB per formula unit

Entry 2:
Computed, not measured: a relaxed structure of BaSrEuWO6 at the PBE+U level of DFT.

```
40
Lattice="-7.655 -3.679 -1.167 0.105 -2.812 8.174 -3.885 7.274 2.552" Properties=species:S:1:pos:R:3 pbc="T T T"
Ba 0.000 0.000 0.000
Ba -5.717 0.391 4.779
Ba -3.775 -3.245 3.503
Ba -1.942 3.637 1.276
Sr -8.576 0.587 7.169
Sr -4.801 3.833 3.666
Sr -2.806 -1.210 6.477
Sr -6.686 -1.644 1.806
Eu -1.890 2.231 5.363
Eu -5.770 1.797 0.693
Eu -3.827 -1.839 -0.583
Eu 0.053 -1.406 4.087
W -2.859 0.196 2.390
W -6.633 -3.050 5.893
W -8.628 1.993 3.082
W -4.748 2.427 7.753
O -1.284 1.357 2.403
O -8.454 -3.750 6.042
O -10.211 1.057 2.415
O -2.919 2.902 8.258
O -2.985 0.309 0.417
O -5.216 2.028 9.635
O -6.119 -3.890 7.611
O -8.549 3.119 1.455
O -1.643 -1.356 2.231
O -9.835 3.304 3.940
O -5.253 4.320 8.020
O -6.138 -4.703 4.927
O -4.433 -0.965 2.377
O -4.813 -2.350 5.744
O -7.045 2.929 3.750
O -6.578 1.952 7.247
O -2.732 0.083 4.363
O -4.280 2.825 5.870
O -7.148 -2.210 4.175
O -8.708 0.867 4.710
O -4.075 1.747 2.548
O -7.421 0.682 2.225
O -4.244 0.533 7.485
O -7.129 -1.396 6.859
```

* energy of formation from the pure elements: -2928 meV per atom
* energy relative to the lowest polymorph listed for this composition: 0.37 eV per formula unit
* crystal system: orthorhombic
* E: -7.723 eV/atom
* V: 159.9 Å³/f.u.
* space group: No. 48
* spin magnetization: 7.00 μB per formula unit

- Among the records above, which one has the lowest energy relative to the lowest polymorph listed for this composition?
  number 2